Pa3W after structural relaxation. Source: Materials Project, functional PBE.

a b c (Å): 5.830 5.830 5.830
angles (deg): 137.03 137.03 62.40
Sites, in units of the cell vectors:
W 0.000 0.000 0.000
Pa 0.250 0.750 0.500
Pa 0.500 0.500 0.000
Pa 0.750 0.250 0.500

Calculated values
* electronic total energy: -10.07 eV/atom
* SG: I4/mmm (139)
* formation enthalpy at 0 K: 29.10 kJ/mol of atoms
* total magnetization: 0.0 μB per formula unit

***

Pd13Pb9 after structural relaxation. Source: Materials Project, functional PBE.

a b c (Å): 9.265 9.265 14.205
angles (deg): 60.92 60.92 60.02
Sites, in units of the cell vectors:
Pd 0.624 0.877 0.749
Pd 0.264 0.500 0.500
Pd 0.980 0.256 0.006
Pd 0.901 0.133 0.875
Pd 0.500 0.736 0.000
Pb 0.420 0.246 0.387
Pd 0.744 0.020 0.494
Pd 0.877 0.624 0.249
Pd 0.603 0.344 0.140
Pb 0.991 0.328 0.625
Pd 0.099 0.867 0.125
Pb 0.672 0.009 0.875
Pb 0.993 0.750 0.618
Pb 0.009 0.672 0.375
Pd 0.736 0.500 0.500
Pd 0.902 0.657 0.870
Pb 0.124 0.876 0.750
Pd 0.375 0.625 0.250
Pb 0.328 0.991 0.125
Pb 0.750 0.993 0.118
Pb 0.473 0.728 0.384
Pd 0.133 0.901 0.375
Pd 0.656 0.397 0.360
Pd 0.397 0.656 0.860
Pb 0.728 0.473 0.884
Pd 0.123 0.376 0.751
Pd 0.625 0.375 0.750
Pb 0.007 0.250 0.382
Pb 0.876 0.124 0.250
Pd 0.344 0.603 0.640
Pd 0.867 0.099 0.625
Pb 0.527 0.272 0.616
Pb 0.754 0.580 0.113
Pb 0.250 0.007 0.882
Pd 0.657 0.902 0.370
Pd 0.098 0.343 0.130
Pb 0.272 0.527 0.116
Pd 0.376 0.123 0.251
Pd 0.020 0.744 0.994
Pd 0.500 0.264 0.000
Pd 0.256 0.980 0.506
Pd 0.343 0.098 0.630
Pb 0.580 0.754 0.613
Pb 0.246 0.420 0.887

Calculated values
* electronic total energy: -4.84 eV/atom
* SG: C2/c (15)
* formation enthalpy at 0 K: -24.68 kJ/mol of atoms
* total magnetization: 0.0 μB per formula unit

***

PdPb2 after structural relaxation. Source: Materials Project, functional PBE.

a b c (Å): 5.793 5.793 5.793
angles (deg): 105.14 105.14 118.54
Sites, in units of the cell vectors:
Pb 0.337 0.163 0.500
Pb 0.163 0.663 0.827
Pb 0.663 0.837 0.500
Pd 0.750 0.750 0.000
Pd 0.250 0.250 0.000
Pb 0.837 0.337 0.173

Calculated values
* electronic total energy: -4.41 eV/atom
* SG: I4/mcm (140)
* formation enthalpy at 0 K: -19.78 kJ/mol of atoms

***

Pd5Pb3 after structural relaxation. Source: Materials Project, functional PBE.

a b c (Å): 7.365 7.365 7.460
angles (deg): 63.99 63.99 64.21
Sites, in units of the cell vectors:
Pb 0.703 0.589 0.710
Pb 0.411 0.297 0.290
Pd 0.450 0.716 0.085
Pd 0.793 0.045 0.412
Pd 0.376 0.963 0.656
Pd 0.284 0.550 0.915
Pd 0.625 0.884 0.241
Pd 0.037 0.624 0.344
Pb 0.241 0.759 0.500
Pb 0.836 0.465 0.207
Pb 0.535 0.164 0.793
Pb 0.011 0.989 0.000
Pd 0.955 0.207 0.588
Pd 0.116 0.375 0.759
Pd 0.868 0.796 0.832
Pd 0.204 0.132 0.168

Calculated values
* electronic total energy: -4.90 eV/atom
* SG: C2 (5)
* formation enthalpy at 0 K: -25.80 kJ/mol of atoms
* total magnetization: 0.0 μB per formula unit

***

Pd3Pb after structural relaxation. Source: Materials Project, functional PBE.

a b c (Å): 4.120 4.120 4.120
angles (deg): 90.00 90.00 90.00
Sites, in units of the cell vectors:
Pb 0.000 0.000 0.000
Pd 0.500 0.000 0.500
Pd 0.500 0.500 0.000
Pd 0.000 0.500 0.500

Calculated values
* electronic total energy: -5.11 eV/atom
* SG: Pm-3m (221)
* formation enthalpy at 0 K: -28.94 kJ/mol of atoms

***

PmPd2Pb after structural relaxation. Source: Materials Project, functional PBE.

a b c (Å): 4.953 4.953 4.953
angles (deg): 60.00 60.00 60.00
Sites, in units of the cell vectors:
Pd 0.750 0.750 0.750
Pm 0.000 0.000 0.000
Pd 0.250 0.250 0.250
Pb 0.500 0.500 0.500

Calculated values
* electronic total energy: -5.36 eV/atom
* SG: Fm-3m (225)
* formation enthalpy at 0 K: -63.56 kJ/mol of atoms

***

PdRhPb4 after structural relaxation. Source: Materials Project, functional PBE.

a b c (Å): 5.736 5.736 5.736
angles (deg): 105.54 105.54 117.65
Sites, in units of the cell vectors:
Rh 0.500 0.500 0.000
Pb 0.085 0.915 0.500
Pb 0.915 0.415 0.830
Pb 0.585 0.085 0.170
Pd 0.000 0.000 0.000
Pb 0.415 0.585 0.500

Calculated values
* electronic total energy: -4.70 eV/atom
* SG: I422 (97)
* formation enthalpy at 0 K: -12.76 kJ/mol of atoms

***

Tb2Pd2Pb after structural relaxation. Source: Materials Project, functional PBE.

a b c (Å): 7.979 7.979 3.615
angles (deg): 90.00 90.00 90.00
Sites, in units of the cell vectors:
Pb 0.000 0.000 0.000
Tb 0.672 0.172 0.500
Pb 0.500 0.500 0.000
Pd 0.125 0.625 0.000
Tb 0.328 0.828 0.500
Tb 0.172 0.328 0.500
Pd 0.875 0.375 0.000
Pd 0.375 0.125 0.000
Pd 0.625 0.875 0.000
Tb 0.828 0.672 0.500

Calculated values
* electronic total energy: -5.51 eV/atom
* SG: P4/mbm (127)
* formation enthalpy at 0 K: -81.04 kJ/mol of atoms